Below is an optimized crystal structure of ScFeC2, with properties calculated at the PBE level.

a = 3.354 Å, b = 3.354 Å, c = 7.315 Å
α = 90.00°, β = 90.00°, γ = 90.00°
Space group P4/nmm (No. 129, origin choice 2)
Inequivalent atoms, fractional coordinates:
Sc 0.250 0.250 0.152 x2
Fe 0.250 0.750 0.500 x2
C 0.250 0.250 0.657 x2
C 0.250 0.250 0.850 x2

Calculated values
The calculated density comes out at 5.04 g/cm3. The calculated total energy is -8.571 eV per atom. The calculation puts the total magnetic moment at 0.87 μB per formula unit.

Below is an optimized crystal structure of Sm2Fe15Si2C, with properties calculated at the PBE level.

a = 9.747 Å, b = 8.515 Å, c = 6.475 Å
α = 90.00°, β = 99.90°, γ = 90.00°
Space group C2/m (No. 12)
Inequivalent atoms, fractional coordinates:
Sm 0.159 0.000 0.356 x4
Fe 0.000 0.218 0.000 x4
Fe 0.000 0.500 0.500 x2
Fe 0.093 0.255 0.659 x8
Fe 0.144 0.356 0.288 x8
Fe 0.156 0.000 0.853 x4
Fe 0.250 0.250 0.000 x4
Si 0.101 0.500 0.899 x4
C 0.000 0.000 0.000 x2

Calculated values
The calculated density comes out at 7.57 g/cm3. The calculated total energy is -7.906 eV per atom. The calculation puts the total magnetic moment at 30.59 μB per formula unit.

Below is an optimized crystal structure of TbFe2SiC, with properties calculated at the PBE level.

a = 3.779 Å, b = 10.448 Å, c = 6.737 Å
α = 90.00°, β = 90.00°, γ = 90.00°
Space group Cmcm (No. 63)
Inequivalent atoms, fractional coordinates:
Tb 0.000 0.052 0.250 x4
Fe 0.000 0.335 0.063 x8
Si 0.000 0.229 0.750 x4
C 0.000 0.500 0.000 x4

Calculated values
The calculated density comes out at 7.76 g/cm3. The calculated total energy is -7.762 eV per atom. The calculation puts the total magnetic moment at 0.00 μB per formula unit.